# PBE-GGA SnCNCl3, optimized geometry
# Total moment: 0.000 μB/f.u.
# Distance to the lowest polymorph of the same formula: 12 meV per atom
data_SnCNCl3
_space_group_name_H-M_alt 'P 1 c 1'
_space_group_IT_number 7
_cell_length_a 5.401
_cell_length_b 8.618
_cell_length_c 8.464
_cell_angle_alpha 90.00
_cell_angle_beta 95.79
_cell_angle_gamma 90.00
loop_
_space_group_symop_operation_xyz
'x,y,z'
'x,-y,z+1/2'
loop_
_atom_site_label
_atom_site_type_symbol
_atom_site_fract_x
_atom_site_fract_y
_atom_site_fract_z
_atom_site_occupancy
Sn1 Sn 0.000 0.187 0.000 1
C1 C 0.737 0.332 0.572 1
N1 N 0.571 0.263 0.505 1
Cl1 Cl 0.000 0.011 0.259 1
Cl2 Cl 0.544 0.272 0.978 1
Cl3 Cl 0.972 0.424 0.664 1



# PBE-GGA SnCNCl3, optimized geometry
# Total moment: 0.000 μB/f.u.
# Distance to the lowest polymorph of the same formula: 0 meV per atom
data_SnCNCl3
_space_group_name_H-M_alt 'P 1 c 1'
_space_group_IT_number 7
_cell_length_a 5.287
_cell_length_b 9.006
_cell_length_c 8.392
_cell_angle_alpha 90.00
_cell_angle_beta 90.02
_cell_angle_gamma 90.00
loop_
_space_group_symop_operation_xyz
'x,y,z'
'x,-y,z+1/2'
loop_
_atom_site_label
_atom_site_type_symbol
_atom_site_fract_x
_atom_site_fract_y
_atom_site_fract_z
_atom_site_occupancy
Sn1 Sn 0.000 0.178 0.000 1
C1 C 0.697 0.333 0.427 1
N1 N 0.532 0.270 0.492 1
Cl1 Cl 0.016 0.013 0.741 1
Cl2 Cl 0.461 0.274 0.005 1
Cl3 Cl 0.931 0.417 0.341 1



# PBE-GGA Tc3C4NCl6, optimized geometry
# Total moment: 0.000 μB/f.u.
data_Tc3C4NCl6
_space_group_name_H-M_alt 'P -1'
_space_group_IT_number 2
_cell_length_a 11.678
_cell_length_b 11.692
_cell_length_c 14.158
_cell_angle_alpha 68.98
_cell_angle_beta 65.82
_cell_angle_gamma 60.22
loop_
_space_group_symop_operation_xyz
'x,y,z'
'-x,-y,-z'
loop_
_atom_site_label
_atom_site_type_symbol
_atom_site_fract_x
_atom_site_fract_y
_atom_site_fract_z
_atom_site_occupancy
Tc1 Tc 0.006 0.402 0.152 1
Tc2 Tc 0.061 0.098 0.347 1
Tc3 Tc 0.063 0.634 0.674 1
Tc4 Tc 0.128 0.135 0.173 1
Tc5 Tc 0.198 0.231 0.336 1
Tc6 Tc 0.266 0.270 0.163 1
C1 C 0.140 0.121 0.841 1
C2 C 0.174 0.168 0.729 1
C3 C 0.243 0.042 0.685 1
C4 C 0.331 0.104 0.696 1
C5 C 0.376 0.607 0.189 1
C6 C 0.390 0.611 0.345 1
C7 C 0.432 0.663 0.234 1
C8 C 0.465 0.459 0.814 1
N1 N 0.265 0.018 0.794 1
N2 N 0.421 0.514 0.289 1
Cl1 Cl 0.034 0.892 0.417 1
Cl2 Cl 0.051 0.451 0.369 1
Cl3 Cl 0.079 0.727 0.873 1
Cl4 Cl 0.153 0.506 0.119 1
Cl5 Cl 0.153 0.963 0.113 1
Cl6 Cl 0.157 0.391 0.917 1
Cl7 Cl 0.179 0.773 0.627 1
Cl8 Cl 0.270 0.462 0.614 1
Cl9 Cl 0.278 0.995 0.380 1
Cl10 Cl 0.356 0.221 0.401 1
Cl11 Cl 0.370 0.050 0.130 1
Cl12 Cl 0.477 0.280 0.099 1



# PBE-GGA TmC8N4Cl7, optimized geometry
# Total moment: 0.000 μB/f.u.
data_TmC8N4Cl7
_space_group_name_H-M_alt 'P 21 21 2'
_space_group_IT_number 18
_cell_length_a 9.349
_cell_length_b 14.754
_cell_length_c 8.410
_cell_angle_alpha 90.00
_cell_angle_beta 90.00
_cell_angle_gamma 90.00
loop_
_space_group_symop_operation_xyz
'x,y,z'
'-x,-y,z'
'x+1/2,-y+1/2,-z'
'-x+1/2,y+1/2,-z'
loop_
_atom_site_label
_atom_site_type_symbol
_atom_site_fract_x
_atom_site_fract_y
_atom_site_fract_z
_atom_site_occupancy
Tm1 Tm 0.000 0.000 0.209 1
C1 C 0.069 0.676 0.853 1
C2 C 0.185 0.642 0.116 1
C3 C 0.193 0.455 0.447 1
C4 C 0.224 0.334 0.650 1
N1 N 0.139 0.655 0.968 1
N2 N 0.199 0.401 0.564 1
Cl1 Cl 0.000 0.500 0.402 1
Cl2 Cl 0.134 0.099 0.386 1
Cl3 Cl 0.139 0.105 0.884 1
Cl4 Cl 0.199 0.895 0.110 1



# PBE-GGA ZnC2N6Cl4, optimized geometry
# Total moment: 8.000 μB/f.u.
data_ZnC2N6Cl4
_space_group_name_H-M_alt 'P -1'
_space_group_IT_number 2
_cell_length_a 7.456
_cell_length_b 7.561
_cell_length_c 11.991
_cell_angle_alpha 78.37
_cell_angle_beta 88.05
_cell_angle_gamma 88.32
loop_
_space_group_symop_operation_xyz
'x,y,z'
'-x,-y,-z'
loop_
_atom_site_label
_atom_site_type_symbol
_atom_site_fract_x
_atom_site_fract_y
_atom_site_fract_z
_atom_site_occupancy
Zn1 Zn 0.057 0.459 0.381 1
C1 C 0.219 0.846 0.898 1
C2 C 0.284 0.713 0.503 1
N1 N 0.036 0.902 0.875 1
N2 N 0.146 0.616 0.493 1
N3 N 0.258 0.685 0.961 1
N4 N 0.312 0.771 0.600 1
N5 N 0.340 0.969 0.852 1
N6 N 0.419 0.765 0.416 1
Cl1 Cl 0.109 0.396 0.755 1
Cl2 Cl 0.118 0.250 0.069 1
Cl3 Cl 0.253 0.237 0.390 1
Cl4 Cl 0.401 0.702 0.294 1



# PBE-GGA ZrC8N2Cl6, optimized geometry
# Distance to the lowest polymorph of the same formula: 0 meV per atom
data_ZrC8N2Cl6
_space_group_name_H-M_alt 'R 3 m'
_space_group_IT_number 160
_space_group_name_Hall 'R 3 -2"'
_cell_length_a 7.4745
_cell_length_b 7.4745
_cell_length_c 20.3788
_cell_angle_alpha 90.00
_cell_angle_beta 90.00
_cell_angle_gamma 120.00
loop_
_atom_site_label
_atom_site_type_symbol
_atom_site_fract_x
_atom_site_fract_y
_atom_site_fract_z
_atom_site_occupancy
Zr1 Zr 0.0000 0.0000 0.0000 1
C1 C 0.0000 0.0000 0.3087 1
C2 C 0.0000 0.0000 0.7069 1
C3 C 0.0806 0.1612 0.2561 1
C4 C 0.1892 0.0946 0.7491 1
N1 N 0.0000 0.0000 0.2045 1
N2 N 0.0000 0.0000 0.7933 1
Cl1 Cl 0.0214 0.5107 0.7403 1
Cl2 Cl 0.1768 0.3536 0.5966 1



# PBE-GGA ZrC8N2Cl6, optimized geometry
# Total moment: 0.003 μB/f.u.
# Distance to the lowest polymorph of the same formula: 839 meV per atom
data_ZrC8N2Cl6
_space_group_name_H-M_alt 'F m -3 m'
_space_group_IT_number 225
_space_group_name_Hall '-F 4 2 3'
_cell_length_a 11.109
_cell_length_b 11.109
_cell_length_c 11.109
_cell_angle_alpha 90.00
_cell_angle_beta 90.00
_cell_angle_gamma 90.00
loop_
_atom_site_label
_atom_site_type_symbol
_atom_site_fract_x
_atom_site_fract_y
_atom_site_fract_z
_atom_site_occupancy
Zr1 Zr 0.000 0.000 0.000 1
C1 C 0.175 0.175 0.325 1
N1 N 0.250 0.250 0.250 1
Cl1 Cl 0.000 0.000 0.224 1



# PBE-GGA NaCSCl3O4, optimized geometry
# Total moment: 2.000 μB/f.u.
data_NaCSCl3O4
_space_group_name_H-M_alt 'P 1 21/c 1'
_space_group_IT_number 14
_cell_length_a 12.929
_cell_length_b 5.914
_cell_length_c 10.724
_cell_angle_alpha 90.00
_cell_angle_beta 104.29
_cell_angle_gamma 90.00
loop_
_space_group_symop_operation_xyz
'x,y,z'
'-x,-y,-z'
'-x,y+1/2,-z+1/2'
'x,-y+1/2,z+1/2'
loop_
_atom_site_label
_atom_site_type_symbol
_atom_site_fract_x
_atom_site_fract_y
_atom_site_fract_z
_atom_site_occupancy
Na1 Na 0.109 0.045 0.219 1
C1 C 0.321 0.578 0.056 1
S1 S 0.174 0.544 0.055 1
Cl1 Cl 0.344 0.079 0.425 1
Cl2 Cl 0.347 0.633 0.539 1
Cl3 Cl 0.400 0.028 0.702 1
O1 O 0.077 0.107 0.836 1
O2 O 0.117 0.616 0.926 1
O3 O 0.159 0.692 0.158 1
O4 O 0.162 0.197 0.580 1



# PBE-GGA NaW6CCl18, optimized geometry
# Total moment: 0.983 μB/f.u.
data_NaW6CCl18
_space_group_name_H-M_alt 'P 63/m'
_space_group_IT_number 176
_space_group_name_Hall '-P 6c'
_cell_length_a 9.2719
_cell_length_b 9.2719
_cell_length_c 18.0603
_cell_angle_alpha 90.00
_cell_angle_beta 90.00
_cell_angle_gamma 120.00
loop_
_atom_site_label
_atom_site_type_symbol
_atom_site_fract_x
_atom_site_fract_y
_atom_site_fract_z
_atom_site_occupancy
Na1 Na 0.0000 0.0000 0.0000 1
W1 W 0.1815 0.6958 0.1668 1
C1 C 0.3333 0.6667 0.2500 1
Cl1 Cl 0.0299 0.2648 0.6026 1
Cl2 Cl 0.0507 0.4823 0.7500 1
Cl3 Cl 0.0876 0.2850 0.2500 1
Cl4 Cl 0.1102 0.4791 0.0770 1



# PBE-GGA Si2Os3C12Cl6O12, optimized geometry
# Total moment: 0.000 μB/f.u.
data_Si2Os3C12Cl6O12
_space_group_name_H-M_alt 'P -1'
_space_group_IT_number 2
_cell_length_a 8.417
_cell_length_b 8.542
_cell_length_c 11.605
_cell_angle_alpha 80.54
_cell_angle_beta 69.86
_cell_angle_gamma 66.49
loop_
_space_group_symop_operation_xyz
'x,y,z'
'-x,-y,-z'
loop_
_atom_site_label
_atom_site_type_symbol
_atom_site_fract_x
_atom_site_fract_y
_atom_site_fract_z
_atom_site_occupancy
Si1 Si 0.225 0.363 0.137 1
Os1 Os 0.358 0.197 0.296 1
Os2 Os 0.500 0.000 0.500 1
C1 C 0.118 0.286 0.418 1
C2 C 0.284 0.941 0.566 1
C3 C 0.301 0.004 0.277 1
C4 C 0.376 0.205 0.597 1
C5 C 0.397 0.899 0.822 1
C6 C 0.419 0.383 0.325 1
Cl1 Cl 0.001 0.681 0.861 1
Cl2 Cl 0.134 0.625 0.154 1
Cl3 Cl 0.399 0.318 0.958 1
O1 O 0.025 0.663 0.511 1
O2 O 0.155 0.905 0.603 1
O3 O 0.254 0.953 0.892 1
O4 O 0.263 0.891 0.267 1
O5 O 0.302 0.328 0.653 1
O6 O 0.454 0.493 0.343 1



# PBE-GGA Pb2CCl2O3, optimized geometry
# Total moment: 0.000 μB/f.u.
# Distance to the lowest polymorph of the same formula: 53 meV per atom
data_Pb2CCl2O3
_space_group_name_H-M_alt 'P 1'
_space_group_IT_number 1
_cell_length_a 8.710
_cell_length_b 8.995
_cell_length_c 9.078
_cell_angle_alpha 88.05
_cell_angle_beta 89.13
_cell_angle_gamma 86.86
loop_
_space_group_symop_operation_xyz
'x,y,z'
loop_
_atom_site_label
_atom_site_type_symbol
_atom_site_fract_x
_atom_site_fract_y
_atom_site_fract_z
_atom_site_occupancy
Pb1 Pb 0.000 0.000 0.000 1
Pb2 Pb 0.037 0.067 0.458 1
Pb3 Pb 0.219 0.542 0.597 1
Pb4 Pb 0.428 0.055 0.165 1
Pb5 Pb 0.485 0.602 0.222 1
Pb6 Pb 0.595 0.143 0.743 1
Pb7 Pb 0.679 0.627 0.648 1
Pb8 Pb 0.928 0.507 0.986 1
C1 C 0.103 0.293 0.155 1
C2 C 0.467 0.323 0.502 1
C3 C 0.633 0.334 0.006 1
C4 C 0.961 0.337 0.620 1
Cl1 Cl 0.169 0.831 0.206 1
Cl2 Cl 0.235 0.589 0.891 1
Cl3 Cl 0.302 0.026 0.877 1
Cl4 Cl 0.428 0.795 0.508 1
Cl5 Cl 0.637 0.821 0.011 1
Cl6 Cl 0.763 0.612 0.366 1
Cl7 Cl 0.814 0.072 0.249 1
Cl8 Cl 0.878 0.863 0.673 1
O1 O 0.048 0.261 0.024 1
O2 O 0.077 0.424 0.200 1
O3 O 0.106 0.298 0.594 1
O4 O 0.178 0.188 0.230 1
O5 O 0.405 0.410 0.400 1
O6 O 0.470 0.377 0.639 1
O7 O 0.512 0.257 0.008 1
O8 O 0.519 0.190 0.482 1
O9 O 0.661 0.428 0.107 1
O10 O 0.731 0.320 0.897 1
O11 O 0.857 0.247 0.586 1
O12 O 0.929 0.467 0.676 1



# PBE-GGA PbCClO2, optimized geometry
# Total moment: 0.000 μB/f.u.
data_PbCClO2
_space_group_name_H-M_alt 'C 1 2/m 1'
_space_group_IT_number 12
_cell_length_a 6.034
_cell_length_b 5.970
_cell_length_c 9.517
_cell_angle_alpha 90.00
_cell_angle_beta 94.94
_cell_angle_gamma 90.00
loop_
_space_group_symop_operation_xyz
'x,y,z'
'-x,-y,-z'
'-x,y,-z'
'x,-y,z'
'x+1/2,y+1/2,z'
'-x+1/2,-y+1/2,-z'
'-x+1/2,y+1/2,-z'
'x+1/2,-y+1/2,z'
loop_
_atom_site_label
_atom_site_type_symbol
_atom_site_fract_x
_atom_site_fract_y
_atom_site_fract_z
_atom_site_occupancy
Pb1 Pb 0.229 0.000 0.277 1
C1 C 0.000 0.370 0.000 1
Cl1 Cl 0.227 0.500 0.384 1
O1 O 0.057 0.271 0.891 1



Number 1: theoretical density 2.127 g/cm³, E -0.174 Ha/atom. Number 2: theoretical density 2.087 g/cm³, E -0.174 Ha/atom. Number 3: theoretical density 2.517 g/cm³, E -0.208 Ha/atom. Number 4: theoretical density 1.630 g/cm³, E -0.205 Ha/atom. Number 5: theoretical density 1.583 g/cm³, E -0.184 Ha/atom. Number 6: theoretical density 2.163 g/cm³, E -0.199 Ha/atom. Number 7: theoretical density 2.074 g/cm³, E -0.168 Ha/atom. Number 8: theoretical density 1.985 g/cm³, E -0.167 Ha/atom. Number 9: theoretical density 4.387 g/cm³, E -0.204 Ha/atom. Number 10: theoretical density 2.719 g/cm³, E -0.266 Ha/atom. Number 11: theoretical density 5.103 g/cm³, E -0.208 Ha/atom. Number 12: theoretical density 5.575 g/cm³, E -0.225 Ha/atom.